# 1
Below is a relaxed U4Ga12Pd crystal, with properties calculated at the meta-GGA r2SCAN level.

E = -1.0553 Ha/atom
Energy relative to the elements = -479.1 meV/atom

Cell: 8.5998 8.5998 8.6654 Å, 90.00 90.00 90.00°
Closest atoms and distances in Å follow each position.
Space group I4/mmm (No. 139)
Inequivalent atoms, fractional coordinates:
U1 0.2500 0.2500 0.2500 (multiplicity 8)  12 Ga 3.04-3.08
Ga1 0.0000 0.0000 0.2042 (multiplicity 4)  1 Pd 2.56, 4 Ga 2.79
Ga2 0.0000 0.2510 0.0000 (multiplicity 8)  8 Ga 2.77-3.05, 4 U 3.05
Ga3 0.0000 0.2951 0.5000 (multiplicity 8)  1 Pd 2.54, 4 Ga 2.77-2.79
Ga4 0.0000 0.5000 0.2500 (multiplicity 4)  8 Ga 2.79-3.05, 4 U 3.04
Pd1 0.0000 0.0000 0.5000 (multiplicity 2)  6 Ga 2.54-2.56

---

# 2
Below is a relaxed Ho2B6Os crystal, with properties calculated at the meta-GGA r2SCAN level.

E = -0.6923 Ha/atom
Energy relative to the elements = -746.9 meV/atom

Cell: 9.1160 11.4813 3.6408 Å, 90.00 90.00 90.00°
Closest atoms and distances in Å follow each position.
Space group Pbam (No. 55)
Inequivalent atoms, fractional coordinates:
Ho1 0.0558 0.1266 0.0000 (multiplicity 4)  12 B 2.59-2.61, 2 Os 2.85-2.86
Ho2 0.1783 0.4141 0.0000 (multiplicity 4)  14 B 2.71-2.80
B1 0.0168 0.2869 0.5000 (multiplicity 4)  3 B 1.79-1.86
B2 0.0537 0.5669 0.5000 (multiplicity 4)  3 B 1.77-1.82
B3 0.1102 0.9694 0.5000 (multiplicity 4)  2 B 1.79-1.81
B4 0.1319 0.8145 0.5000 (multiplicity 4)  3 B 1.72-1.79
B5 0.2091 0.2332 0.5000 (multiplicity 4)  3 B 1.72-1.86
B6 0.2477 0.5799 0.5000 (multiplicity 4)  3 B 1.77-1.81
Os1 0.1373 0.6785 0.0000 (multiplicity 4)  10 B 2.33-2.40

---

# 3
Below is a relaxed YbHCl crystal, with properties calculated at the meta-GGA r2SCAN level.

E = -0.6129 Ha/atom
Energy relative to the elements = -1298.3 meV/atom

Cell: 3.3686 3.3686 8.6522 Å, 90.00 90.00 90.00°
Closest atoms and distances in Å follow each position.
Space group P4/nmm (No. 129, origin choice 2)
Inequivalent atoms, fractional coordinates:
Yb1 0.2500 0.2500 0.1520 (multiplicity 2)  4 H 2.14
H1 0.2500 0.7500 0.0000 (multiplicity 2)  4 Yb 2.14, 4 H 2.38
Cl1 0.2500 0.2500 0.6650 (multiplicity 2)  4 Yb 2.86

---

# 4
Below is a relaxed Er2GaCo2 crystal, with properties calculated at the meta-GGA r2SCAN level.

E = -0.7910 Ha/atom
Energy relative to the elements = -370.5 meV/atom

Cell: 4.0799 5.2901 8.1729 Å, 90.00 90.00 90.00°
Closest atoms and distances in Å follow each position.
Space group Immm (No. 71)
Inequivalent atoms, fractional coordinates:
Er1 0.0000 0.0000 0.2058 (multiplicity 4)  6 Co 2.84-2.88, 4 Ga 3.13-3.15
Ga1 0.0000 0.5000 0.0000 (multiplicity 2)  4 Co 2.54
Co1 0.0000 0.2853 0.5000 (multiplicity 4)  1 Co 2.27, 2 Ga 2.54

---

# 5
Below is a relaxed Ce3Al11 crystal, with properties calculated at the meta-GGA r2SCAN level.

E = -0.4520 Ha/atom
Energy relative to the elements = -402.3 meV/atom

Cell: 16.3621 4.3582 10.0216 Å, 90.00 127.59 90.00°
Closest atoms and distances in Å follow each position.
Space group Cm (No. 8)
Inequivalent atoms, fractional coordinates:
Ce1 0.0000 0.0000 0.0000 (multiplicity 2)  12 Al 3.18-3.24
Ce2 0.1296 0.5000 0.6317 (multiplicity 2)  12 Al 3.19-3.25
Ce3 0.3154 0.0000 0.3170 (multiplicity 2)  16 Al 3.28-3.61
Al1 0.1510 0.5000 0.0215 (multiplicity 2)  5 Al 2.64-2.75
Al2 0.1510 0.5000 0.2849 (multiplicity 2)  5 Al 2.64-2.73
Al3 0.1791 0.0000 0.4570 (multiplicity 2)  6 Al 2.64-2.86
Al4 0.1791 0.0000 0.9050 (multiplicity 2)  6 Al 2.64-2.85
Al5 0.3151 0.0000 0.8172 (multiplicity 2)  8 Al 2.85-3.05
Al6 0.3155 0.5000 0.0295 (multiplicity 2)  6 Al 2.64-2.81
Al7 0.3150 0.5000 0.6042 (multiplicity 2)  6 Al 2.64-2.81
Al8 0.4514 0.0000 0.7290 (multiplicity 2)  6 Al 2.64-2.86
Al9 0.4522 0.0000 0.1778 (multiplicity 2)  6 Al 2.64-2.86
Al10 0.4800 0.5000 0.3497 (multiplicity 2)  5 Al 2.64-2.74
Al11 0.4799 0.5000 0.6136 (multiplicity 2)  5 Al 2.64-2.75

---

# 6
Below is a relaxed Cr2HgO7 crystal, with properties calculated at the meta-GGA r2SCAN level.

E = -0.4980 Ha/atom
Energy relative to the elements = -1419.1 meV/atom

Cell: 7.1676 7.1676 9.5568 Å, 90.00 90.00 120.00°
Closest atoms and distances in Å follow each position.
Space group P3_2 (No. 145)
Inequivalent atoms, fractional coordinates:
Cr1 0.0892 0.4053 0.0000 (multiplicity 3)  4 O 1.59-1.76
Cr2 0.4315 0.0775 0.0076 (multiplicity 3)  4 O 1.59-1.75
Hg1 0.2540 0.0290 0.6726 (multiplicity 3)  2 O 2.05-2.06
O1 0.0623 0.6105 0.0266 (multiplicity 3)  1 Cr 1.60
O2 0.0689 0.6063 0.6473 (multiplicity 3)  1 Cr 1.59
O3 0.1445 0.6597 0.3297 (multiplicity 3)  1 Cr 1.59
O4 0.2404 0.0302 0.8874 (multiplicity 3)  1 Cr 1.69
O5 0.2468 0.0313 0.4577 (multiplicity 3)  1 Cr 1.68
O6 0.3117 0.0281 0.1731 (multiplicity 3)  2 Cr 1.75-1.76
O7 0.6194 0.3235 0.9998 (multiplicity 3)  1 Cr 1.60

---

# 7
Below is a relaxed Zr2VCo3 crystal, with properties calculated at the meta-GGA r2SCAN level.

E = -0.6162 Ha/atom
Energy relative to the elements = -219.3 meV/atom

Cell: 5.0788 5.0788 11.3515 Å, 90.00 90.00 120.00°
Closest atoms and distances in Å follow each position.
Space group R-3m (No. 166, hexagonal axes)
Inequivalent atoms, fractional coordinates:
Zr1 0.0000 0.0000 0.1270 (multiplicity 6)  9 Co 2.76-2.92, 4 Zr 2.88-3.07, 3 V 2.97
V1 0.0000 0.0000 0.5000 (multiplicity 3)  6 Co 2.39
Co1 0.0000 0.5000 0.0000 (multiplicity 9)  2 V 2.39, 4 Co 2.54

---

# 8
Below is a relaxed PrBS3 crystal, with properties calculated at the meta-GGA r2SCAN level.

E = -0.5011 Ha/atom
Energy relative to the elements = -1465.1 meV/atom

Cell: 7.6674 6.0290 8.9775 Å, 90.00 90.00 90.00°
Closest atoms and distances in Å follow each position.
Space group Pna2_1 (No. 33)
Inequivalent atoms, fractional coordinates:
Pr1 0.1142 0.0717 0.0000 (multiplicity 4)  8 S 2.90-3.14
B1 0.1464 0.5963 0.1716 (multiplicity 4)  3 S 1.80-1.82
S1 0.0019 0.5954 0.0134 (multiplicity 4)  1 B 1.80
S2 0.1729 0.8351 0.2935 (multiplicity 4)  1 B 1.82
S3 0.2038 0.8663 0.7024 (multiplicity 4)  1 B 1.82